A plane-wave DFT calculation with PBE-GGA was carried out for a geometry-optimized Zr5Ti7O24 structure.

Lattice parameters (Å, degrees): 5.412 14.547 11.484 90.00 118.04 90.00
Atoms (fractional coordinates):
Zr (0.000, 0.080, 0.000)
Zr (0.000, 0.920, 0.500)
Zr (0.217, 0.253, 0.283)
Zr (0.217, 0.747, 0.783)
Zr (0.494, 0.254, 0.030)
Zr (0.494, 0.746, 0.530)
Zr (0.709, 0.256, 0.779)
Zr (0.709, 0.744, 0.279)
Zr (0.994, 0.252, 0.533)
Zr (0.994, 0.748, 0.033)
Ti (0.080, 0.420, 0.067)
Ti (0.080, 0.580, 0.567)
Ti (0.143, 0.084, 0.752)
Ti (0.143, 0.916, 0.252)
Ti (0.196, 0.421, 0.816)
Ti (0.196, 0.579, 0.316)
Ti (0.514, 0.084, 0.502)
Ti (0.514, 0.916, 0.002)
Ti (0.581, 0.420, 0.566)
Ti (0.581, 0.580, 0.066)
Ti (0.640, 0.084, 0.250)
Ti (0.640, 0.916, 0.750)
Ti (0.699, 0.419, 0.317)
Ti (0.699, 0.581, 0.817)
O (0.051, 0.339, 0.923)
O (0.051, 0.661, 0.423)
O (0.159, 0.166, 0.891)
O (0.159, 0.834, 0.391)
O (0.226, 0.171, 0.440)
O (0.226, 0.829, 0.940)
O (0.284, 0.168, 0.148)
O (0.284, 0.832, 0.648)
O (0.300, 0.172, 0.688)
O (0.300, 0.828, 0.188)
O (0.301, 0.488, 0.233)
O (0.301, 0.512, 0.733)
O (0.307, 0.490, 0.982)
O (0.307, 0.510, 0.482)
O (0.404, 0.334, 0.621)
O (0.404, 0.666, 0.121)
O (0.415, 0.009, 0.087)
O (0.415, 0.991, 0.587)
O (0.419, 0.007, 0.339)
O (0.419, 0.993, 0.839)
O (0.442, 0.340, 0.172)
O (0.442, 0.660, 0.672)
O (0.483, 0.337, 0.873)
O (0.483, 0.663, 0.373)
O (0.550, 0.338, 0.422)
O (0.550, 0.662, 0.922)
O (0.667, 0.163, 0.394)
O (0.667, 0.837, 0.894)
O (0.706, 0.180, 0.935)
O (0.706, 0.820, 0.435)
O (0.767, 0.169, 0.643)
O (0.767, 0.831, 0.143)
O (0.799, 0.489, 0.732)
O (0.799, 0.511, 0.232)
O (0.806, 0.168, 0.186)
O (0.806, 0.832, 0.686)
O (0.809, 0.489, 0.483)
O (0.809, 0.511, 0.983)
O (0.906, 0.022, 0.590)
O (0.906, 0.978, 0.090)
O (0.910, 0.007, 0.827)
O (0.910, 0.332, 0.124)
O (0.910, 0.668, 0.624)
O (0.910, 0.993, 0.327)
O (0.940, 0.340, 0.672)
O (0.940, 0.660, 0.172)
O (0.981, 0.331, 0.373)
O (0.981, 0.669, 0.873)

**Total energy after the MP2020 corrections**: -9.62 eV per atom
**Total DFT energy (no corrections)**: -659.9 eV/cell
**Mass density**: 4.9 g/cm³
**Total magnetization**: 0.0 μB/cell
**Formation enthalpy at 0 K**: -347.5 kJ/mol of atoms